First-principles (GGA+U) data for a relaxed structure of VFe2Cu3O6, as listed in the Materials Project database.

Cell lengths 3.0626, 3.0626, 17.3239 Å; angles 90.00, 90.00, 120.00 degrees
Space group P-3m1 (No. 164)
Inequivalent atoms, fractional coordinates:
V  0.0000  0.0000  0.0000
Fe  0.3333  0.6667  0.6666
Cu  0.0000  0.0000  0.5000
Cu  0.3333  0.6667  0.1668
O  0.0000  0.0000  0.3934
O  0.3333  0.6667  0.0604
O  0.3333  0.6667  0.2735

Values from the calculation:
Calculated total energy ... -6.300 eV/atom
Calculated formation energy ... -1493 meV per atom